## CaTiBiO5 (PBE)

Data for CaTiBiO5 after structural relaxation.

Values from the calculation:
Excess energy over the best structure of this formula in the dataset ... 0 meV per atom
Space group ... P2_1/c
ΔH_f (0 K) ... -2.711 eV per atom

Lattice parameters (Å, degrees): 5.885 10.885 8.670 90.00 107.82 90.00
Atoms (fractional coordinates):
Ca: 0.034 0.097 0.177
Ca: 0.034 0.403 0.677
Ca: 0.966 0.597 0.323
Ca: 0.966 0.903 0.823
Ti: 0.374 0.620 0.052
Ti: 0.374 0.880 0.552
Ti: 0.626 0.120 0.448
Ti: 0.626 0.380 0.948
Bi: 0.477 0.101 0.845
Bi: 0.477 0.399 0.345
Bi: 0.523 0.601 0.655
Bi: 0.523 0.899 0.155
O: 0.213 0.734 0.505
O: 0.213 0.766 0.005
O: 0.224 0.537 0.180
O: 0.224 0.963 0.680
O: 0.274 0.036 0.008
O: 0.274 0.464 0.508
O: 0.342 0.206 0.339
O: 0.342 0.294 0.839
O: 0.353 0.543 0.853
O: 0.353 0.957 0.353
O: 0.647 0.043 0.647
O: 0.647 0.457 0.147
O: 0.658 0.706 0.161
O: 0.658 0.794 0.661
O: 0.726 0.536 0.492
O: 0.726 0.964 0.992
O: 0.776 0.037 0.320
O: 0.776 0.463 0.820
O: 0.787 0.234 0.995
O: 0.787 0.266 0.495

## WBr6N2 (PBE)

Data for WBr6N2 after structural relaxation.

Values from the calculation:
Space group ... Fm-3m
ΔH_f (0 K) ... 0.702 eV per atom

Lattice parameters (Å, degrees): 7.505 7.505 7.505 60.00 60.00 60.00
Atoms (fractional coordinates):
W: 0.000 0.000 0.000
Br: 0.233 0.233 0.767
Br: 0.233 0.767 0.233
Br: 0.233 0.767 0.767
Br: 0.767 0.233 0.233
Br: 0.767 0.233 0.767
Br: 0.767 0.767 0.233
N: 0.250 0.250 0.250
N: 0.750 0.750 0.750

## Na4ZrZn3SiS5O24 (PBE)

Data for Na4ZrZn3SiS5O24 after structural relaxation.

Values from the calculation:
Space group ... P1
ΔH_f (0 K) ... -2.200 eV per atom

Lattice parameters (Å, degrees): 8.928 8.929 22.786 89.30 89.31 60.01
Atoms (fractional coordinates):
Na: 0.000 0.000 0.000
Na: 0.001 0.029 0.503
Na: 0.001 0.654 0.248
Na: 0.023 0.673 0.582
Na: 0.310 0.335 0.667
Na: 0.334 0.348 0.162
Na: 0.353 0.018 0.254
Na: 0.610 0.368 0.247
Na: 0.648 0.687 0.341
Na: 0.652 0.695 0.838
Na: 0.665 0.315 0.578
Na: 0.688 0.345 0.916
Zr: 0.648 0.687 0.180
Zr: 0.667 0.672 0.685
Zr: 0.993 0.000 0.351
Zn: 0.001 0.029 0.651
Zn: 0.002 0.000 0.848
Zn: 0.307 0.335 0.515
Zn: 0.318 0.347 0.012
Zn: 0.319 0.344 0.819
Zn: 0.339 0.343 0.317
Zn: 0.657 0.688 0.982
Zn: 0.665 0.665 0.484
Zn: 0.982 0.994 0.150
Si: 0.282 0.715 0.246
Si: 0.692 0.017 0.246
Si: 0.958 0.376 0.579
S: 0.027 0.345 0.915
S: 0.028 0.635 0.416
S: 0.283 0.017 0.750
S: 0.323 0.639 0.915
S: 0.328 0.048 0.415
S: 0.354 0.982 0.078
S: 0.363 0.682 0.581
S: 0.615 0.351 0.417
S: 0.616 0.053 0.915
S: 0.656 0.973 0.580
S: 0.658 0.379 0.079
S: 0.690 0.303 0.750
S: 0.956 0.675 0.078
S: 0.990 0.303 0.247
S: 0.995 0.721 0.748
O: 0.003 0.191 0.910
O: 0.012 0.800 0.693
O: 0.013 0.813 0.412
O: 0.022 0.198 0.195
O: 0.107 0.371 0.862
O: 0.109 0.538 0.362
O: 0.127 0.516 0.076
O: 0.131 0.321 0.968
O: 0.131 0.558 0.469
O: 0.138 0.330 0.256
O: 0.140 0.377 0.578
O: 0.145 0.544 0.754
O: 0.165 0.034 0.412
O: 0.165 0.801 0.190
O: 0.168 0.814 0.909
O: 0.183 0.826 0.589
O: 0.183 0.998 0.086
O: 0.184 0.039 0.696
O: 0.202 0.847 0.304
O: 0.205 0.986 0.803
O: 0.297 0.559 0.969
O: 0.301 0.527 0.256
O: 0.304 0.153 0.467
O: 0.304 0.171 0.755
O: 0.345 0.127 0.359
O: 0.347 0.150 0.075
O: 0.354 0.529 0.863
O: 0.359 0.517 0.578
O: 0.436 0.715 0.528
O: 0.445 0.869 0.029
O: 0.460 0.857 0.743
O: 0.462 0.895 0.135
O: 0.472 0.661 0.634
O: 0.480 0.689 0.241
O: 0.481 0.873 0.421
O: 0.485 0.651 0.920
O: 0.495 0.172 0.256
O: 0.499 0.368 0.077
O: 0.507 0.152 0.577
O: 0.512 0.131 0.862
O: 0.515 0.327 0.756
O: 0.520 0.365 0.362
O: 0.534 0.326 0.470
O: 0.537 0.162 0.968
O: 0.628 0.890 0.634
O: 0.631 0.508 0.419
O: 0.637 0.877 0.922
O: 0.638 0.488 0.133
O: 0.672 0.483 0.743
O: 0.675 0.469 0.026
O: 0.678 0.868 0.528
O: 0.688 0.833 0.240
O: 0.767 0.072 0.191
O: 0.770 0.204 0.696
O: 0.791 0.040 0.909
O: 0.794 0.192 0.412
O: 0.797 0.228 0.803
O: 0.817 0.210 0.084
O: 0.818 0.980 0.588
O: 0.822 0.976 0.304
O: 0.827 0.464 0.525
O: 0.830 0.479 0.241
O: 0.831 0.706 0.744
O: 0.845 0.694 0.029
O: 0.848 0.501 0.920
O: 0.850 0.663 0.420
O: 0.857 0.508 0.637
O: 0.872 0.657 0.135
O: 0.954 0.227 0.300
O: 0.964 0.191 0.588
O: 0.966 0.828 0.800
O: 0.970 0.832 0.082

## SOF2 (PBE)

Data for SOF2 after structural relaxation.

Values from the calculation:
Space group ... P2_1/c
ΔH_f (0 K) ... -1.952 eV per atom

Lattice parameters (Å, degrees): 5.438 7.302 15.019 90.00 97.27 90.00
Atoms (fractional coordinates):
S: 0.035 0.222 0.351
S: 0.035 0.278 0.851
S: 0.453 0.160 0.136
S: 0.453 0.340 0.636
S: 0.547 0.660 0.364
S: 0.547 0.840 0.864
S: 0.965 0.722 0.149
S: 0.965 0.778 0.649
O: 0.005 0.698 0.244
O: 0.005 0.802 0.744
O: 0.473 0.526 0.668
O: 0.473 0.974 0.168
O: 0.527 0.026 0.832
O: 0.527 0.474 0.332
O: 0.995 0.198 0.256
O: 0.995 0.302 0.756
F: 0.165 0.589 0.109
F: 0.165 0.911 0.609
F: 0.202 0.166 0.064
F: 0.202 0.334 0.564
F: 0.269 0.090 0.387
F: 0.269 0.410 0.887
F: 0.364 0.676 0.441
F: 0.364 0.824 0.941
F: 0.636 0.176 0.059
F: 0.636 0.324 0.559
F: 0.731 0.590 0.113
F: 0.731 0.910 0.613
F: 0.798 0.666 0.436
F: 0.798 0.834 0.936
F: 0.835 0.089 0.391
F: 0.835 0.411 0.891

## UHg3 (PBE)

Data for UHg3 after structural relaxation.

Values from the calculation:
Space group ... P-6m2
ΔH_f (0 K) ... 0.159 eV per atom

Lattice parameters (Å, degrees): 3.175 3.175 10.867 90.00 90.00 120.00
Atoms (fractional coordinates):
U: 0.000 0.000 0.000
Hg: 0.000 0.000 0.500
Hg: 0.667 0.333 0.252
Hg: 0.667 0.333 0.748

## Tl3Ga (PBE)

Data for Tl3Ga after structural relaxation.

Values from the calculation:
Space group ... Fm-3m
ΔH_f (0 K) ... 0.097 eV per atom

Lattice parameters (Å, degrees): 5.483 5.483 5.483 60.00 60.00 60.00
Atoms (fractional coordinates):
Tl: 0.000 0.000 0.000
Tl: 0.250 0.250 0.250
Tl: 0.750 0.750 0.750
Ga: 0.500 0.500 0.500

## La5ZnPb3 (PBE)

Data for La5ZnPb3 after structural relaxation.

Values from the calculation:
Space group ... P6_3/mcm
ΔH_f (0 K) ... -0.548 eV per atom

Lattice parameters (Å, degrees): 9.830 9.830 6.936 90.00 90.00 120.00
Atoms (fractional coordinates):
La: 0.000 0.269 0.250
La: 0.000 0.731 0.750
La: 0.269 0.000 0.250
La: 0.269 0.269 0.750
La: 0.333 0.667 0.000
La: 0.333 0.667 0.500
La: 0.667 0.333 0.000
La: 0.667 0.333 0.500
La: 0.731 0.000 0.750
La: 0.731 0.731 0.250
Zn: 0.000 0.000 0.000
Zn: 0.000 0.000 0.500
Pb: 0.000 0.379 0.750
Pb: 0.000 0.621 0.250
Pb: 0.379 0.000 0.750
Pb: 0.379 0.379 0.250
Pb: 0.621 0.000 0.250
Pb: 0.621 0.621 0.750

## TlHPd3 (PBE)

Data for TlHPd3 after structural relaxation.

Values from the calculation:
Space group ... Pm-3m
ΔH_f (0 K) ... -0.261 eV per atom

Lattice parameters (Å, degrees): 4.139 4.139 4.139 90.00 90.00 90.00
Atoms (fractional coordinates):
Tl: 0.000 0.000 0.000
H: 0.500 0.500 0.500
Pd: 0.000 0.500 0.500
Pd: 0.500 0.000 0.500
Pd: 0.500 0.500 0.000

## LiZnPO4 (PBE)

Data for LiZnPO4 after structural relaxation.

Values from the calculation:
Excess energy over the best structure of this formula in the dataset ... 0 meV per atom
Space group ... Cc
ΔH_f (0 K) ... -2.546 eV per atom

Lattice parameters (Å, degrees): 10.055 10.055 16.414 97.69 97.69 58.90
Atoms (fractional coordinates):
Li: 0.003 0.324 0.750
Li: 0.055 0.945 0.500
Li: 0.056 0.443 0.501
Li: 0.318 0.503 0.252
Li: 0.324 0.003 0.250
Li: 0.384 0.557 0.002
Li: 0.443 0.056 0.001
Li: 0.447 0.812 0.751
Li: 0.503 0.318 0.752
Li: 0.556 0.883 0.501
Li: 0.557 0.384 0.502
Li: 0.812 0.447 0.251
Li: 0.820 0.945 0.251
Li: 0.883 0.556 0.001
Li: 0.945 0.055 0.000
Li: 0.945 0.820 0.751
Zn: 0.011 0.189 0.374
Zn: 0.013 0.689 0.376
Zn: 0.070 0.253 0.124
Zn: 0.123 0.755 0.125
Zn: 0.128 0.511 0.875
Zn: 0.189 0.011 0.874
Zn: 0.248 0.569 0.626
Zn: 0.253 0.070 0.624
Zn: 0.511 0.128 0.375
Zn: 0.514 0.626 0.376
Zn: 0.569 0.248 0.126
Zn: 0.624 0.749 0.125
Zn: 0.626 0.514 0.876
Zn: 0.689 0.013 0.876
Zn: 0.749 0.624 0.625
Zn: 0.755 0.123 0.625
P: 0.158 0.345 0.312
P: 0.162 0.846 0.313
P: 0.226 0.412 0.064
P: 0.282 0.910 0.062
P: 0.287 0.660 0.815
P: 0.345 0.158 0.812
P: 0.409 0.725 0.564
P: 0.412 0.226 0.564
P: 0.660 0.287 0.315
P: 0.662 0.788 0.314
P: 0.725 0.409 0.064
P: 0.781 0.909 0.062
P: 0.788 0.662 0.814
P: 0.846 0.162 0.813
P: 0.909 0.781 0.562
P: 0.910 0.282 0.562
O: 0.024 0.718 0.640
O: 0.029 0.220 0.638
O: 0.042 0.352 0.238
O: 0.051 0.852 0.235
O: 0.083 0.390 0.053
O: 0.088 0.840 0.389
O: 0.091 0.336 0.391
O: 0.126 0.686 0.830
O: 0.165 0.984 0.987
O: 0.176 0.491 0.324
O: 0.180 0.991 0.325
O: 0.199 0.321 0.798
O: 0.217 0.529 0.139
O: 0.220 0.029 0.138
O: 0.233 0.482 0.986
O: 0.250 0.877 0.576
O: 0.251 0.375 0.577
O: 0.270 0.818 0.799
O: 0.296 0.755 0.078
O: 0.321 0.199 0.298
O: 0.323 0.697 0.300
O: 0.336 0.091 0.891
O: 0.352 0.042 0.738
O: 0.354 0.544 0.738
O: 0.375 0.251 0.077
O: 0.383 0.585 0.552
O: 0.390 0.083 0.553
O: 0.404 0.588 0.890
O: 0.446 0.877 0.045
O: 0.482 0.233 0.486
O: 0.484 0.730 0.488
O: 0.491 0.176 0.824
O: 0.524 0.714 0.640
O: 0.529 0.217 0.639
O: 0.544 0.354 0.238
O: 0.552 0.853 0.235
O: 0.583 0.907 0.388
O: 0.585 0.383 0.052
O: 0.588 0.404 0.390
O: 0.628 0.686 0.830
O: 0.663 0.986 0.988
O: 0.686 0.126 0.330
O: 0.686 0.628 0.330
O: 0.697 0.323 0.800
O: 0.714 0.524 0.140
O: 0.718 0.024 0.140
O: 0.730 0.484 0.988
O: 0.752 0.795 0.577
O: 0.755 0.296 0.578
O: 0.772 0.820 0.801
O: 0.795 0.752 0.077
O: 0.818 0.270 0.299
O: 0.820 0.772 0.301
O: 0.840 0.088 0.889
O: 0.852 0.051 0.735
O: 0.853 0.552 0.735
O: 0.877 0.250 0.076
O: 0.877 0.446 0.545
O: 0.878 0.943 0.546
O: 0.907 0.583 0.888
O: 0.943 0.878 0.046
O: 0.984 0.165 0.487
O: 0.986 0.663 0.488
O: 0.991 0.180 0.825

## OsN (PBE)

Data for OsN after structural relaxation.

Values from the calculation:
Excess energy over the best structure of this formula in the dataset ... 0 meV per atom
Space group ... Pmn2_1
ΔH_f (0 K) ... 0.240 eV per atom

Lattice parameters (Å, degrees): 2.789 3.732 4.259 90.00 90.00 90.00
Atoms (fractional coordinates):
Os: 0.000 0.137 0.000
Os: 0.500 0.863 0.500
N: 0.000 0.651 0.800
N: 0.500 0.349 0.300